First-principles (PBE-GGA) data for a geometry-optimized Na2Sc2Ga2SiS5O24 structure, as listed in the Materials Project.

Summary:
Total moment, μB per cell: 0.0
ΔE_f, eV/atom: -2.37
Raw total energy, eV per atom: -6.531

Cell and atoms, written as POSCAR:
```
Na2Sc2Ga2SiS5O24
1.0
8.690 0.023 -0.037
-4.325 7.528 0.043
-0.094 0.070 22.771
Na Sc Ga Si S O
6 6 6 3 15 72
direct
0.990 0.988 0.504
0.000 0.000 0.999
0.671 0.321 0.829
0.652 0.320 0.331
0.330 0.677 0.171
0.362 0.677 0.666
0.015 0.003 0.348
0.977 0.987 0.647
0.664 0.332 0.686
0.667 0.344 0.482
0.344 0.669 0.522
0.345 0.674 0.813
0.996 0.003 0.843
0.006 0.994 0.156
0.657 0.325 0.186
0.668 0.332 0.984
0.332 0.666 0.016
0.333 0.682 0.314
0.300 0.999 0.247
0.709 0.007 0.754
0.669 0.628 0.584
0.706 0.705 0.247
0.000 0.295 0.246
0.289 0.286 0.753
0.999 0.709 0.754
0.961 0.336 0.582
0.372 0.042 0.583
0.955 0.621 0.083
0.668 0.039 0.083
0.375 0.336 0.082
0.630 0.663 0.922
0.037 0.371 0.922
0.333 0.965 0.920
0.626 0.959 0.413
0.332 0.384 0.412
0.042 0.662 0.414
0.210 0.032 0.304
0.815 0.788 0.299
0.963 0.182 0.299
0.214 0.179 0.809
0.981 0.794 0.809
0.820 0.032 0.816
0.799 0.977 0.697
0.185 0.200 0.701
0.030 0.819 0.702
0.780 0.820 0.193
0.024 0.210 0.192
0.177 0.960 0.188
0.874 0.349 0.636
0.481 0.118 0.636
0.647 0.513 0.643
0.872 0.509 0.136
0.637 0.121 0.135
0.487 0.368 0.134
0.457 0.306 0.029
0.846 0.539 0.029
0.698 0.150 0.029
0.460 0.143 0.529
0.684 0.533 0.524
0.852 0.308 0.529
0.545 0.692 0.975
0.147 0.458 0.976
0.303 0.852 0.975
0.541 0.855 0.467
0.317 0.467 0.465
0.145 0.682 0.467
0.127 0.643 0.360
0.520 0.875 0.359
0.352 0.491 0.358
0.116 0.481 0.869
0.363 0.884 0.869
0.521 0.635 0.869
0.020 0.821 0.409
0.803 0.975 0.409
0.169 0.208 0.408
0.021 0.195 0.918
0.174 0.985 0.914
0.809 0.817 0.917
0.995 0.185 0.586
0.201 0.035 0.587
0.846 0.822 0.584
0.969 0.798 0.088
0.828 0.020 0.090
0.196 0.179 0.088
0.686 0.179 0.749
0.469 0.313 0.751
0.837 0.537 0.750
0.702 0.533 0.239
0.846 0.323 0.238
0.495 0.177 0.240
0.641 0.496 0.929
0.856 0.354 0.929
0.496 0.143 0.928
0.643 0.137 0.417
0.489 0.359 0.414
0.865 0.500 0.416
0.360 0.501 0.074
0.135 0.640 0.077
0.506 0.861 0.075
0.344 0.859 0.578
0.493 0.649 0.580
0.132 0.502 0.577
0.320 0.821 0.255
0.524 0.674 0.254
0.164 0.468 0.253
0.295 0.459 0.760
0.154 0.683 0.761
0.514 0.826 0.758
```